(1)
First-principles (GGA-PBE) data for an optimized crystal structure of Na6Mg4Si3Ge4S9O48, as listed in Materials Project.

POSCAR file:
```
Na6Mg4Si3Ge4S9O48
1.0
-15.213 8.198 0.664
3.674 -2.845 7.249
10.475 19.408 2.306
Na Mg Si Ge S O
18 12 9 12 27 144
direct
0.999 0.634 0.251 Na
0.500 0.627 0.245 Na
0.002 0.370 0.744 Na
0.500 0.368 0.750 Na
0.672 0.319 0.913 Na
0.171 0.029 0.416 Na
0.994 0.002 0.502 Na
0.502 0.005 0.501 Na
0.002 0.999 0.997 Na
0.493 0.984 0.999 Na
0.316 0.315 0.833 Na
0.836 0.350 0.836 Na
0.333 0.319 0.338 Na
0.824 0.328 0.339 Na
0.174 0.661 0.163 Na
0.667 0.664 0.163 Na
0.165 0.657 0.669 Na
0.676 0.691 0.665 Na
0.996 0.000 0.354 Mg
0.496 0.992 0.853 Mg
0.323 0.328 0.687 Mg
0.833 0.322 0.680 Mg
0.332 0.343 0.178 Mg
0.830 0.328 0.183 Mg
0.838 0.342 0.982 Mg
0.337 0.335 0.483 Mg
0.170 0.669 0.316 Mg
0.673 0.662 0.317 Mg
0.171 0.676 0.813 Mg
0.672 0.673 0.814 Mg
0.145 0.287 0.754 Si
0.980 0.340 0.582 Si
0.684 0.030 0.585 Si
0.481 0.618 0.082 Si
0.185 0.342 0.084 Si
0.814 0.672 0.914 Si
0.174 0.960 0.918 Si
0.310 0.955 0.416 Si
0.674 0.384 0.418 Si
0.501 0.018 0.364 Ge
0.011 0.990 0.860 Ge
0.001 0.028 0.647 Ge
0.505 0.998 0.646 Ge
0.006 0.012 0.145 Ge
0.497 0.986 0.143 Ge
0.322 0.335 0.985 Ge
0.822 0.313 0.488 Ge
0.164 0.658 0.013 Ge
0.669 0.676 0.015 Ge
0.170 0.665 0.519 Ge
0.667 0.664 0.518 Ge
0.146 0.004 0.250 S
0.643 0.003 0.251 S
0.358 0.717 0.251 S
0.856 0.716 0.247 S
0.999 0.289 0.249 S
0.499 0.281 0.249 S
0.646 0.289 0.750 S
0.997 0.716 0.749 S
0.501 0.711 0.749 S
0.358 0.998 0.747 S
0.855 0.998 0.751 S
0.481 0.332 0.586 S
0.184 0.035 0.583 S
0.334 0.630 0.584 S
0.834 0.627 0.584 S
0.981 0.630 0.086 S
0.334 0.041 0.084 S
0.833 0.037 0.085 S
0.685 0.332 0.084 S
0.313 0.666 0.917 S
0.021 0.373 0.915 S
0.518 0.377 0.916 S
0.666 0.958 0.916 S
0.812 0.959 0.417 S
0.166 0.376 0.417 S
0.018 0.660 0.416 S
0.522 0.669 0.414 S
0.104 0.024 0.305 O
0.601 0.029 0.306 O
0.418 0.805 0.304 O
0.912 0.794 0.301 O
0.487 0.171 0.305 O
0.987 0.180 0.303 O
0.091 0.156 0.812 O
0.604 0.185 0.805 O
0.488 0.794 0.803 O
0.981 0.792 0.805 O
0.414 0.030 0.800 O
0.912 0.024 0.803 O
0.402 0.968 0.691 O
0.894 0.965 0.693 O
0.080 0.201 0.692 O
0.584 0.201 0.696 O
0.009 0.827 0.693 O
0.516 0.823 0.693 O
0.398 0.827 0.194 O
0.900 0.829 0.191 O
0.013 0.207 0.193 O
0.514 0.197 0.194 O
0.084 0.967 0.195 O
0.585 0.966 0.195 O
0.442 0.360 0.641 O
0.949 0.380 0.644 O
0.239 0.117 0.636 O
0.741 0.104 0.644 O
0.322 0.524 0.638 O
0.817 0.518 0.638 O
0.451 0.519 0.146 O
0.942 0.527 0.142 O
0.320 0.118 0.139 O
0.821 0.118 0.139 O
0.241 0.383 0.144 O
0.738 0.357 0.138 O
0.225 0.294 0.025 O
0.721 0.297 0.029 O
0.414 0.523 0.024 O
0.927 0.549 0.033 O
0.352 0.152 0.030 O
0.848 0.145 0.031 O
0.221 0.141 0.527 O
0.723 0.155 0.524 O
0.349 0.555 0.529 O
0.850 0.549 0.528 O
0.428 0.306 0.532 O
0.913 0.304 0.523 O
0.272 0.693 0.974 O
0.766 0.708 0.978 O
0.078 0.454 0.972 O
0.581 0.461 0.970 O
0.153 0.830 0.980 O
0.647 0.845 0.973 O
0.264 0.825 0.477 O
0.770 0.848 0.473 O
0.149 0.453 0.472 O
0.650 0.472 0.478 O
0.080 0.700 0.469 O
0.579 0.703 0.468 O
0.055 0.633 0.359 O
0.561 0.644 0.358 O
0.247 0.876 0.359 O
0.759 0.884 0.363 O
0.176 0.478 0.362 O
0.691 0.491 0.357 O
0.061 0.482 0.861 O
0.556 0.479 0.860 O
0.191 0.881 0.859 O
0.676 0.873 0.863 O
0.259 0.636 0.864 O
0.745 0.617 0.860 O
0.012 0.827 0.412 O
0.515 0.836 0.409 O
0.409 0.964 0.411 O
0.901 0.977 0.413 O
0.087 0.191 0.413 O
0.584 0.179 0.413 O
0.013 0.195 0.913 O
0.512 0.198 0.912 O
0.083 0.979 0.916 O
0.587 0.985 0.913 O
0.402 0.826 0.914 O
0.912 0.858 0.907 O
0.490 0.166 0.592 O
0.988 0.153 0.586 O
0.091 0.008 0.590 O
0.583 0.009 0.591 O
0.414 0.817 0.590 O
0.916 0.809 0.589 O
0.492 0.825 0.088 O
0.989 0.814 0.092 O
0.418 0.024 0.090 O
0.914 0.013 0.091 O
0.083 0.159 0.090 O
0.591 0.169 0.091 O
0.353 0.162 0.739 O
0.850 0.164 0.746 O
0.239 0.299 0.749 O
0.734 0.309 0.742 O
0.423 0.531 0.742 O
0.918 0.535 0.745 O
0.352 0.540 0.247 O
0.847 0.536 0.240 O
0.418 0.296 0.246 O
0.920 0.311 0.243 O
0.235 0.160 0.242 O
0.731 0.162 0.244 O
0.323 0.503 0.924 O
0.824 0.498 0.926 O
0.431 0.359 0.926 O
0.933 0.354 0.924 O
0.264 0.162 0.930 O
0.746 0.134 0.925 O
0.323 0.152 0.426 O
0.822 0.141 0.424 O
0.247 0.359 0.424 O
0.763 0.363 0.430 O
0.432 0.515 0.422 O
0.930 0.502 0.425 O
0.172 0.518 0.070 O
0.675 0.493 0.078 O
0.072 0.654 0.081 O
0.584 0.651 0.068 O
0.256 0.858 0.077 O
0.752 0.855 0.080 O
0.175 0.853 0.577 O
0.671 0.827 0.570 O
0.252 0.648 0.579 O
0.754 0.651 0.576 O
0.083 0.513 0.568 O
0.573 0.493 0.580 O
0.150 0.835 0.251 O
0.650 0.839 0.256 O
0.269 0.699 0.256 O
0.768 0.702 0.250 O
0.079 0.470 0.253 O
0.578 0.462 0.254 O
0.149 0.479 0.756 O
0.649 0.464 0.752 O
0.078 0.700 0.753 O
0.582 0.692 0.753 O
0.270 0.839 0.750 O
0.766 0.840 0.754 O
```

Values from the calculation:
Crystal system   triclinic
V   953 Å³/f.u.
Energy of formation from the pure elements   -2.2310 eV per atom
Final energy   -6.1615 eV/atom
M_tot   0.00 μB per atom

=====

(2)
First-principles (GGA-PBE) data for an optimized crystal structure of CeSe2, as listed in Materials Project.

POSCAR file:
```
CeSe2
1.0
7.264 -4.365 -0.355
9.322 14.212 15.971
-12.449 -21.953 15.196
Ce Se
24 48
direct
0.269 0.307 0.830 Ce
0.769 0.693 0.670 Ce
0.731 0.693 0.170 Ce
0.231 0.307 0.330 Ce
0.699 0.271 0.092 Ce
0.199 0.729 0.408 Ce
0.301 0.729 0.908 Ce
0.801 0.271 0.592 Ce
0.854 0.010 0.808 Ce
0.354 0.990 0.692 Ce
0.146 0.990 0.192 Ce
0.646 0.010 0.308 Ce
0.773 0.811 0.849 Ce
0.273 0.189 0.651 Ce
0.227 0.189 0.151 Ce
0.727 0.811 0.349 Ce
0.780 0.232 0.905 Ce
0.280 0.768 0.595 Ce
0.220 0.768 0.095 Ce
0.720 0.232 0.405 Ce
0.553 0.492 0.199 Ce
0.053 0.508 0.301 Ce
0.447 0.508 0.801 Ce
0.947 0.492 0.699 Ce
0.875 0.117 0.873 Se
0.375 0.883 0.627 Se
0.125 0.883 0.127 Se
0.625 0.117 0.373 Se
0.018 0.298 0.885 Se
0.518 0.702 0.615 Se
0.982 0.702 0.115 Se
0.482 0.298 0.385 Se
0.643 0.386 0.141 Se
0.143 0.614 0.359 Se
0.357 0.614 0.859 Se
0.857 0.386 0.641 Se
0.240 0.495 0.224 Se
0.740 0.505 0.276 Se
0.760 0.505 0.776 Se
0.260 0.495 0.724 Se
0.792 0.931 0.859 Se
0.292 0.069 0.641 Se
0.208 0.069 0.141 Se
0.708 0.931 0.359 Se
0.775 0.260 0.001 Se
0.275 0.740 0.499 Se
0.225 0.740 0.999 Se
0.725 0.260 0.501 Se
0.574 0.792 0.916 Se
0.074 0.208 0.584 Se
0.426 0.208 0.084 Se
0.926 0.792 0.416 Se
0.615 0.017 0.748 Se
0.115 0.983 0.752 Se
0.385 0.983 0.252 Se
0.885 0.017 0.248 Se
0.508 0.253 0.863 Se
0.008 0.747 0.637 Se
0.492 0.747 0.137 Se
0.992 0.253 0.363 Se
0.360 0.422 0.844 Se
0.860 0.578 0.656 Se
0.640 0.578 0.156 Se
0.140 0.422 0.344 Se
0.065 0.772 0.863 Se
0.565 0.228 0.637 Se
0.935 0.228 0.137 Se
0.435 0.772 0.363 Se
0.186 0.250 0.739 Se
0.686 0.750 0.761 Se
0.814 0.750 0.261 Se
0.314 0.250 0.239 Se
```

Values from the calculation:
Crystal system   monoclinic
V   234 Å³/f.u.
Energy of formation from the pure elements   -1.3958 eV per atom
Final energy   -5.3895 eV/atom
M_tot   0.00 μB per atom

=====

(3)
First-principles (GGA-PBE) data for an optimized crystal structure of SnS, as listed in Materials Project.

POSCAR file:
```
SnS
1.0
-5.987 -1.263 1.681
4.251 -0.265 -4.703
1.605 -5.283 1.749
Sn S
2 2
direct
0.842 0.158 0.250 Sn
0.158 0.842 0.750 Sn
0.194 0.806 0.250 S
0.806 0.194 0.750 S
```

Values from the calculation:
Crystal system   orthorhombic
V   67 Å³/f.u.
Energy of formation from the pure elements   -0.6270 eV per atom
Final energy   -4.4485 eV/atom

=====

(4)
First-principles (GGA-PBE) data for an optimized crystal structure of NaH2BrO5, as listed in Materials Project.

POSCAR file:
```
NaH2BrO5
1.0
2.208 -6.918 -5.690
2.756 -1.802 -8.618
12.213 -0.247 1.858
Na H Br O
4 8 4 20
direct
0.000 0.500 0.500 Na
0.500 0.000 0.000 Na
0.395 0.605 0.250 Na
0.605 0.395 0.750 Na
0.488 0.656 0.918 H
0.344 0.512 0.582 H
0.512 0.344 0.082 H
0.656 0.488 0.418 H
0.064 0.190 0.046 H
0.810 0.936 0.454 H
0.936 0.810 0.954 H
0.190 0.064 0.546 H
0.825 0.965 0.203 Br
0.035 0.175 0.297 Br
0.175 0.035 0.797 Br
0.965 0.825 0.703 Br
0.782 0.874 0.416 O
0.126 0.218 0.084 O
0.218 0.126 0.584 O
0.874 0.782 0.916 O
0.728 0.908 0.142 O
0.092 0.272 0.358 O
0.272 0.092 0.858 O
0.908 0.728 0.642 O
0.077 0.827 0.135 O
0.173 0.923 0.365 O
0.923 0.173 0.865 O
0.827 0.077 0.635 O
0.612 0.301 0.134 O
0.699 0.388 0.366 O
0.388 0.699 0.866 O
0.301 0.612 0.634 O
0.293 0.006 0.159 O
0.994 0.707 0.341 O
0.707 0.994 0.841 O
0.006 0.293 0.659 O
```

Values from the calculation:
Crystal system   monoclinic
V   158 Å³/f.u.
Energy above the lowest structure with this stoichiometry   0.00 eV per formula unit
Energy of formation from the pure elements   -0.8110 eV per atom
Final energy   -4.2610 eV/atom
M_tot   0.00 μB per atom